First-principles (PBE-GGA) data for crystalline NbCr3Cu2S8 at its relaxed geometry, as listed in the Materials Project.

Total DFT energy (no corrections) in eV/atom: -6.43
Formation enthalpy at 0 K in eV/atom: -0.976
E above lowest polymorph in meV per atom: 0
Space group: P222_1 (17)

abc: 7.0174 7.1641 9.8397
angles: 90.00 90.00 90.00
Last column: nearest neighbours and their distance in Å.
Fractional positions:
S 0.5158 0.4972 0.7503  1 Cu 2.30, 2 Cr 2.42-2.43, 1 Nb 2.47
S 0.7507 0.2293 0.9909  1 Cu 2.28, 3 Cr 2.39-2.41
S 0.2507 0.7707 0.0091  1 Cu 2.28, 3 Cr 2.39-2.41
S 0.9842 0.5028 0.7503  1 Cu 2.30, 2 Cr 2.42-2.43, 1 Nb 2.47
S 0.2420 0.7466 0.4997  1 Cu 2.27, 1 Nb 2.41, 1 Cr 2.45
S 0.4842 0.4972 0.2497  1 Cu 2.30, 2 Cr 2.42-2.43, 1 Nb 2.47
S 0.5238 0.0029 0.7579  1 Cu 2.25, 3 Cr 2.39-2.40
S 0.7580 0.7466 0.5003  1 Cu 2.27, 1 Nb 2.41, 1 Cr 2.45
S 0.0238 0.9971 0.2421  1 Cu 2.25, 3 Cr 2.39-2.40
S 0.2580 0.2534 0.4997  1 Cu 2.27, 1 Nb 2.41, 1 Cr 2.45
S 0.9762 0.9971 0.7579  1 Cu 2.25, 3 Cr 2.39-2.40
S 0.4762 0.0029 0.2421  1 Cu 2.25, 3 Cr 2.39-2.40
S 0.0158 0.5028 0.2497  1 Cu 2.30, 2 Cr 2.42-2.43, 1 Nb 2.47
S 0.7420 0.2534 0.5003  1 Cu 2.27, 1 Nb 2.41, 1 Cr 2.45
S 0.2493 0.2293 0.0091  1 Cu 2.28, 3 Cr 2.39-2.41
S 0.7493 0.7707 0.9909  1 Cu 2.28, 3 Cr 2.39-2.41
Cr 0.2541 0.7495 0.2513  6 S 2.39-2.45
Cr 0.7541 0.2505 0.7487  6 S 2.39-2.45
Cr 0.2459 0.2505 0.2513  6 S 2.39-2.45
Cr 0.5000 0.0008 0.0000  6 S 2.39-2.41
Cr 0.7459 0.7495 0.7487  6 S 2.39-2.45
Cr 0.0000 0.9992 0.0000  6 S 2.39-2.41
Cu 0.7500 0.0000 0.3611  4 S 2.25-2.27
Cu 0.2500 0.5000 0.8871  4 S 2.28-2.30
Cu 0.7500 0.5000 0.1129  4 S 2.28-2.30
Cu 0.2500 0.0000 0.6389  4 S 2.25-2.27
Nb 0.5000 0.5254 0.5000  6 S 2.41-2.58
Nb 0.0000 0.4746 0.5000  6 S 2.41-2.58